This record from the Materials Project database describes a relaxed structure of ScRu2. The functional is r2SCAN.

The structure in CIF format:
```
data_ScRu2
_chemical_formula_sum 'Sc4 Ru8'
_cell_length_a 5.1008
_cell_length_b 5.1008
_cell_length_c 8.6302
_cell_angle_alpha 90.00
_cell_angle_beta 90.00
_cell_angle_gamma 120.00
_symmetry_space_group_name_H-M 'P 63/m m c'
_symmetry_Int_Tables_number 194
_symmetry_space_group_name_Hall '-P 6c 2c'
loop_
_atom_site_label
_atom_site_fract_x
_atom_site_fract_y
_atom_site_fract_z
Sc1 0.3333 0.6667 0.0679
Ru1 0.0000 0.0000 0.0000
Ru2 0.1720 0.3440 0.7500
```

Results
* E_form: -117 kJ/mol of formula units

***

This record from the Materials Project database describes a relaxed structure of NiH9C4N3O6. The functional is r2SCAN.

The structure in CIF format:
```
data_NiH9C4N3O6
_chemical_formula_sum 'Ni4 H36 C16 N12 O24'
_cell_length_a 8.1603
_cell_length_b 11.5163
_cell_length_c 8.8307
_cell_angle_alpha 90.00
_cell_angle_beta 90.00
_cell_angle_gamma 90.00
_symmetry_space_group_name_H-M 'P n n a'
_symmetry_Int_Tables_number 52
loop_
_symmetry_equiv_pos_as_xyz
'x,y,z'
'-x,-y,-z'
'-x+1/2,-y,z'
'x+1/2,y,-z'
'x,-y+1/2,-z+1/2'
'-x,y+1/2,z+1/2'
'-x+1/2,y+1/2,-z+1/2'
'x+1/2,-y+1/2,z+1/2'
loop_
_atom_site_label
_atom_site_fract_x
_atom_site_fract_y
_atom_site_fract_z
Ni1 0.2401 0.2500 0.2500
H1 0.0710 0.1217 0.7418
H2 0.1047 0.7077 0.9281
H3 0.1667 0.0816 0.5683
H4 0.1850 0.0612 0.9656
H5 0.2500 0.0000 0.1764
C1 0.0320 0.7234 0.5174
C2 0.2500 0.0000 0.2998
C3 0.2500 0.0000 0.7575
N1 0.1522 0.0727 0.6822
N2 0.2500 0.0000 0.9078
O1 0.0718 0.6909 0.3857
O2 0.0879 0.1807 0.0887
O3 0.2389 0.0965 0.3671
```

Results
* E_form: -1616 kJ/mol of formula units